[1]
Here is an optimized crystal structure of Li6V3P8O29 from the Materials Project database. Energies are from PBE+U.

```
data_Li6V3P8O29
_symmetry_space_group_name_H-M 'P 1'
_symmetry_Int_Tables_number 1
_cell_length_a 9.812
_cell_length_b 9.814
_cell_length_c 13.902
_cell_angle_alpha 89.83
_cell_angle_beta 89.73
_cell_angle_gamma 60.17
loop_
_symmetry_equiv_pos_as_xyz
'x,y,z'
loop_
_atom_site_label
_atom_site_type_symbol
_atom_site_fract_x
_atom_site_fract_y
_atom_site_fract_z
Li1 Li 0.000 0.000 0.000
Li2 Li 0.002 0.430 0.448
Li3 Li 0.096 0.670 0.327
Li4 Li 0.104 0.251 0.824
Li5 Li 0.238 0.654 0.823
Li6 Li 0.330 0.336 0.390
Li7 Li 0.420 0.018 0.945
Li8 Li 0.554 0.430 0.942
Li9 Li 0.562 0.005 0.449
Li10 Li 0.648 0.109 0.822
Li11 Li 0.658 0.671 0.271
Li12 Li 0.661 0.242 0.328
V1 V 0.326 0.904 0.141
V2 V 0.333 0.767 0.630
V3 V 0.764 0.900 0.637
V4 V 0.767 0.336 0.136
V5 V 0.897 0.767 0.130
V6 V 0.898 0.336 0.636
P1 P 0.015 0.566 0.728
P2 P 0.016 0.426 0.229
P3 P 0.101 0.653 0.543
P4 P 0.102 0.247 0.042
P5 P 0.242 0.656 0.041
P6 P 0.245 0.111 0.543
P7 P 0.415 0.016 0.728
P8 P 0.417 0.559 0.228
P9 P 0.559 0.019 0.228
P10 P 0.561 0.424 0.725
P11 P 0.647 0.246 0.542
P12 P 0.651 0.106 0.042
P13 P 0.660 0.671 0.013
P14 P 0.665 0.669 0.512
P15 P 0.994 0.002 0.258
P16 P 0.998 0.002 0.758
O1 O 0.003 0.152 0.720
O2 O 0.075 0.256 0.546
O3 O 0.078 0.674 0.044
O4 O 0.087 0.333 0.951
O5 O 0.097 0.345 0.320
O6 O 0.097 0.578 0.813
O7 O 0.107 0.564 0.452
O8 O 0.118 0.336 0.136
O9 O 0.119 0.540 0.632
O10 O 0.143 0.999 0.213
O11 O 0.144 0.851 0.720
O12 O 0.222 0.822 0.057
O13 O 0.240 0.959 0.554
O14 O 0.244 0.677 0.550
O15 O 0.251 0.082 0.045
O16 O 0.320 0.557 0.311
O17 O 0.324 0.132 0.641
O18 O 0.328 0.091 0.820
O19 O 0.334 0.581 0.951
O20 O 0.335 0.126 0.460
O21 O 0.339 0.545 0.130
O22 O 0.415 0.588 0.726
O23 O 0.416 0.996 0.226
O24 O 0.424 0.858 0.708
O25 O 0.434 0.708 0.219
O26 O 0.510 0.816 0.058
O27 O 0.524 0.660 0.555
O28 O 0.537 0.336 0.635
O29 O 0.544 0.124 0.135
O30 O 0.559 0.320 0.451
O31 O 0.562 0.107 0.317
O32 O 0.575 0.088 0.953
O33 O 0.577 0.333 0.816
O34 O 0.581 0.998 0.728
O35 O 0.585 0.415 0.229
O36 O 0.656 0.671 0.907
O37 O 0.656 0.824 0.550
O38 O 0.663 0.257 0.040
O39 O 0.667 0.517 0.056
O40 O 0.667 0.673 0.403
O41 O 0.669 0.077 0.550
O42 O 0.709 0.857 0.217
O43 O 0.712 0.433 0.706
O44 O 0.803 0.242 0.557
O45 O 0.804 0.676 0.059
O46 O 0.818 0.964 0.058
O47 O 0.821 0.523 0.548
O48 O 0.842 0.010 0.721
O49 O 0.845 0.154 0.216
O50 O 0.850 0.443 0.216
O51 O 0.854 0.717 0.709
O52 O 0.949 0.808 0.556
O53 O 0.957 0.223 0.060
O54 O 0.990 0.003 0.365
O55 O 0.993 0.421 0.727
O56 O 0.994 0.853 0.216
O57 O 0.995 0.004 0.867
O58 O 0.996 0.592 0.225
```


[2]
Here is an optimized crystal structure of Li3Mn2O5 from the Materials Project database. Energies are from PBE+U.

```
data_Li3Mn2O5
_symmetry_space_group_name_H-M 'P -1'
_symmetry_Int_Tables_number 2
_cell_length_a 2.966
_cell_length_b 5.091
_cell_length_c 12.171
_cell_angle_alpha 96.09
_cell_angle_beta 93.99
_cell_angle_gamma 91.20
loop_
_symmetry_equiv_pos_as_xyz
'x,y,z'
'-x,-y,-z'
loop_
_atom_site_label
_atom_site_type_symbol
_atom_site_fract_x
_atom_site_fract_y
_atom_site_fract_z
Li1 Li 0.000 0.000 0.000
Li2 Li 0.085 0.706 0.192
Li3 Li 0.298 0.108 0.599
Li4 Li 0.500 0.500 0.000
Mn1 Mn 0.184 0.403 0.398
Mn2 Mn 0.420 0.809 0.808
O1 O 0.060 0.331 0.112
O2 O 0.109 0.080 0.290
O3 O 0.219 0.737 0.500
O4 O 0.402 0.472 0.700
O5 O 0.447 0.128 0.891
```


[3]
Here is an optimized crystal structure of Li4Mn3V3Te2O16 from the Materials Project database. Energies are from PBE+U.

```
data_Li4Mn3V3Te2O16
_symmetry_space_group_name_H-M 'P 1'
_symmetry_Int_Tables_number 1
_cell_length_a 5.989
_cell_length_b 6.052
_cell_length_c 10.200
_cell_angle_alpha 90.75
_cell_angle_beta 90.92
_cell_angle_gamma 118.49
loop_
_symmetry_equiv_pos_as_xyz
'x,y,z'
loop_
_atom_site_label
_atom_site_type_symbol
_atom_site_fract_x
_atom_site_fract_y
_atom_site_fract_z
Li1 Li 0.000 0.000 0.000
Li2 Li 0.009 0.998 0.495
Li3 Li 0.334 0.675 0.591
Li4 Li 0.689 0.335 0.077
Mn1 Mn 0.172 0.341 0.271
Mn2 Mn 0.185 0.839 0.272
Mn3 Mn 0.343 0.170 0.779
V1 V 0.662 0.804 0.261
V2 V 0.821 0.661 0.766
V3 V 0.836 0.170 0.772
Te1 Te 0.329 0.678 0.997
Te2 Te 0.677 0.330 0.483
O1 O 0.019 0.002 0.681
O2 O 0.056 0.539 0.131
O3 O 0.146 0.302 0.884
O4 O 0.155 0.830 0.898
O5 O 0.336 0.158 0.393
O6 O 0.364 0.702 0.372
O7 O 0.510 0.967 0.140
O8 O 0.533 0.531 0.159
O9 O 0.534 0.032 0.669
O10 O 0.544 0.525 0.663
O11 O 0.674 0.342 0.874
O12 O 0.717 0.864 0.877
O13 O 0.832 0.154 0.387
O14 O 0.838 0.667 0.388
O15 O 0.983 0.488 0.668
O16 O 0.998 0.981 0.185
```


Across the entries above, calculated formation energy takes the values -2657.0; -2113.0; -2131.5 meV/atom, respectively.